A geometry-optimized Li2V5NiO12 structure. Source: the Materials Project, functional PBE+U.

Summary:
Space-group type: No. 5
Energy of formation from the pure elements (eV/atom): -2.2335
Energy (eV/atom): -6.9889

a = 6.781 Å, b = 6.781 Å, c = 5.775 Å
α = 74.71°, β = 105.29°, γ = 97.30°
Fractional positions:
V 0.608 0.202 0.732
Li 0.745 0.745 0.750
O 0.636 0.909 0.308
O 0.202 0.982 0.136
O 0.909 0.636 0.192
O 0.659 0.376 0.932
O 0.357 0.098 0.691
V 0.392 0.802 0.263
O 0.624 0.353 0.433
V 0.802 0.392 0.237
V 0.084 0.084 0.750
Li 0.244 0.244 0.250
O 0.353 0.624 0.067
O 0.376 0.659 0.568
Ni 0.908 0.908 0.250
O 0.982 0.202 0.364
O 0.098 0.357 0.809
O 0.021 0.797 0.660
O 0.797 0.021 0.840
V 0.202 0.608 0.768